Entry 1:
This record from the Materials Project describes a relaxed structure of Li9Mn2Co5O16. The functional is PBE with a Hubbard U.

Computed properties:
Relative energy among the computed polymorphs   44 meV/atom
DFT total energy   -0.4270 Ry/atom
DFT formation energy   -176 kJ per mole of atoms
Total magnetization   10.0 μB/cell

Cell lengths 5.875, 5.909, 8.141 Å; angles 90.73, 90.67, 93.22 degrees
Atoms (fractional coordinates):
O1 0.975 0.025 0.762
Mn1 0.995 0.002 0.999
Li1 0.993 0.507 0.504
Li2 0.747 0.249 0.257
Li3 0.748 0.749 0.255
Co1 0.252 0.750 0.251
Mn2 0.995 0.506 0.999
O2 0.990 0.484 0.763
O3 0.528 0.472 0.734
Co2 0.508 0.991 0.503
Li4 0.251 0.249 0.744
O4 0.014 0.015 0.240
O5 0.780 0.740 0.001
O6 0.011 0.515 0.239
O7 0.513 0.017 0.742
O8 0.729 0.738 0.500
Li5 0.750 0.749 0.745
Li6 0.504 0.995 0.997
O9 0.246 0.734 0.005
Li7 0.504 0.505 0.994
O10 0.750 0.272 0.990
O11 0.744 0.230 0.515
O12 0.486 0.987 0.256
Li8 0.253 0.751 0.744
Co3 0.747 0.250 0.750
O13 0.259 0.764 0.491
O14 0.485 0.489 0.262
O15 0.222 0.265 0.012
Co4 0.505 0.497 0.500
O16 0.269 0.257 0.488
Co5 0.251 0.253 0.253
Li9 0.995 0.994 0.506

=====

Entry 2:
This record from the Materials Project describes a relaxed structure of MgFe6O6F6. The functional is PBE with a Hubbard U.

Computed properties:
Relative energy among the computed polymorphs   33 meV/atom
DFT total energy   -0.4382 Ry/atom
DFT formation energy   -204 kJ per mole of atoms
Total magnetization   28.0 μB/cell

Cell lengths 5.304, 7.713, 5.805 Å; angles 97.79, 88.54, 92.35 degrees
Atoms (fractional coordinates):
F1 0.868 0.088 0.340
O1 0.353 0.899 0.216
F2 0.679 0.762 0.487
F3 0.685 0.085 0.791
O2 0.873 0.425 0.638
Fe1 0.447 0.989 0.534
O3 0.342 0.219 0.541
Fe2 0.994 0.666 0.687
Fe3 0.067 0.961 0.060
F4 0.111 0.222 0.008
F5 0.316 0.604 0.858
O4 0.155 0.917 0.720
O5 0.623 0.446 0.121
Fe4 0.916 0.381 0.282
F6 0.177 0.599 0.371
O6 0.836 0.763 0.989
Fe5 0.533 0.681 0.154
Mg1 0.002 0.180 0.669
Fe6 0.523 0.362 0.796

=====

Entry 3:
This record from the Materials Project describes a relaxed structure of KV3P4O16. The functional is PBE with a Hubbard U.

Computed properties:
DFT total energy   -0.5415 Ry/atom
DFT formation energy   -256 kJ per mole of atoms
Total magnetization   8.0 μB/cell

Cell lengths 12.879, 5.285, 9.608 Å; angles 86.18, 90.00, 90.00 degrees
Atoms (fractional coordinates):
O1 0.423 0.313 0.226
O2 0.590 0.173 0.751
O3 0.859 0.850 0.281
P1 0.865 0.851 0.122
P2 0.637 0.851 0.122
V1 0.750 0.988 0.405
O4 0.751 0.909 0.774
O5 0.930 0.625 0.073
O6 0.140 0.089 0.449
O7 0.090 0.827 0.249
O8 0.912 0.174 0.750
V2 0.098 0.606 0.087
O9 0.251 0.091 0.226
O10 0.759 0.406 0.905
O11 0.070 0.370 0.928
O12 0.259 0.594 0.095
O13 0.105 0.897 0.949
K1 0.500 0.500 0.500
O14 0.080 0.312 0.226
O15 0.251 0.213 0.933
V3 0.889 0.389 0.910
V4 0.389 0.611 0.090
O16 0.750 0.295 0.380
O17 0.605 0.103 0.051
K2 0.000 0.500 0.500
O18 0.860 0.912 0.551
V5 0.598 0.394 0.913
O19 0.141 0.148 0.719
P3 0.866 0.921 0.711
O20 0.360 0.088 0.449
P4 0.136 0.078 0.290
O21 0.580 0.688 0.774
O22 0.751 0.787 0.067
P5 0.365 0.149 0.878
O23 0.412 0.826 0.250
P6 0.137 0.149 0.878
O24 0.640 0.911 0.551
P7 0.636 0.922 0.710
O25 0.398 0.898 0.947
P8 0.366 0.079 0.289
O26 0.430 0.375 0.927
O27 0.898 0.102 0.053
O28 0.250 0.705 0.620
O29 0.359 0.150 0.719
V6 0.250 0.012 0.595
O30 0.570 0.630 0.072
O31 0.923 0.687 0.774
O32 0.641 0.852 0.281

=====

Entry 4:
This record from the Materials Project describes a relaxed structure of FeH12C5NCl2O5. The functional is PBE with a Hubbard U.

Computed properties:
DFT total energy   -0.4081 Ry/atom
DFT formation energy   -67 kJ per mole of atoms
Total magnetization   4.0 μB/cell

Cell lengths 8.838, 8.469, 18.259 Å; angles 88.05, 90.00, 90.00 degrees
Atoms (fractional coordinates):
H1 0.808 0.611 0.534
H2 0.885 0.574 0.061
Cl1 0.347 0.027 0.191
C1 0.030 0.085 0.493
H3 0.120 0.799 0.766
Fe1 0.751 0.073 0.414
H4 0.014 0.510 0.618
H5 0.150 0.271 0.343
H6 0.615 0.574 0.561
C2 0.471 0.946 0.470
H7 0.202 0.589 0.838
H8 0.526 0.213 0.662
H9 0.880 0.201 0.234
C3 0.433 0.574 0.858
O1 0.552 0.937 0.413
H10 0.346 0.311 0.324
H11 0.040 0.598 0.300
O2 0.919 0.278 0.197
H12 0.486 0.510 0.118
H13 0.232 0.586 0.968
H14 0.850 0.729 0.657
H15 0.298 0.386 0.762
C4 0.731 0.643 0.180
N1 0.222 0.504 0.362
H16 0.732 0.414 0.532
C5 0.470 0.085 0.993
N2 0.778 0.496 0.638
H17 0.567 0.315 0.113
C6 0.529 0.054 0.530
H18 0.308 0.389 0.966
O3 0.449 0.825 0.048
Cl2 0.653 0.973 0.809
Fe2 0.249 0.927 0.586
H19 0.620 0.201 0.734
H20 0.702 0.614 0.238
O4 0.081 0.722 0.803
C7 0.530 0.915 0.007
O5 0.346 0.120 0.022
C8 0.770 0.525 0.060
Cl3 0.847 0.973 0.309
H21 0.798 0.614 0.738
H22 0.474 0.787 0.338
C9 0.970 0.915 0.507
Cl4 0.339 0.692 0.634
O6 0.154 0.120 0.522
O7 0.152 0.874 0.982
H23 0.798 0.411 0.162
O8 0.652 0.126 0.518
C10 0.230 0.475 0.940
H24 0.433 0.685 0.887
H25 0.067 0.685 0.387
H26 0.768 0.414 0.032
C11 0.769 0.643 0.680
O9 0.581 0.278 0.697
H27 0.268 0.586 0.468
O10 0.448 0.063 0.587
Cl5 0.661 0.308 0.366
H28 0.350 0.271 0.843
H29 0.385 0.426 0.439
N3 0.278 0.504 0.862
H30 0.933 0.315 0.613
O11 0.051 0.825 0.548
H31 0.514 0.490 0.882
H32 0.026 0.787 0.838
H33 0.460 0.598 0.800
H34 0.540 0.402 0.200
O12 0.654 0.880 0.978
Cl6 0.153 0.027 0.691
O13 0.848 0.126 0.018
C12 0.730 0.525 0.560
O14 0.052 0.063 0.087
H35 0.298 0.589 0.338
O15 0.348 0.874 0.482
Fe3 0.749 0.073 0.914
O16 0.846 0.880 0.478
O17 0.949 0.175 0.452
C13 0.270 0.475 0.440
H36 0.650 0.729 0.157
H37 0.846 0.689 0.176
H38 0.692 0.611 0.034
Cl7 0.161 0.692 0.134
H39 0.654 0.689 0.676
C14 0.067 0.574 0.358
C15 0.971 0.054 0.030
O18 0.948 0.937 0.913
H40 0.380 0.799 0.266
H41 0.986 0.490 0.382
O19 0.551 0.175 0.952
C16 0.933 0.426 0.642
H42 0.202 0.386 0.262
N4 0.722 0.496 0.138
O20 0.419 0.722 0.303
H43 0.192 0.389 0.466
H44 0.974 0.213 0.162
C17 0.029 0.946 0.970
Fe4 0.251 0.927 0.086
H45 0.154 0.311 0.824
H46 0.115 0.426 0.939
Cl8 0.839 0.308 0.866
H47 0.702 0.411 0.662
C18 0.231 0.357 0.320
C19 0.269 0.357 0.820
C20 0.567 0.426 0.142
H48 0.960 0.402 0.700

=====

Entry 5:
This record from the Materials Project describes a relaxed structure of FeOF. The functional is PBE with a Hubbard U.

Computed properties:
DFT total energy   -0.4473 Ry/atom
DFT formation energy   -204 kJ per mole of atoms

Cell lengths 3.071, 4.991, 9.740 Å; angles 90.00, 90.00, 90.00 degrees
Atoms (fractional coordinates):
O1 0.750 0.169 0.228
Fe1 0.750 0.024 0.843
Fe2 0.250 0.524 0.657
F1 0.750 0.693 0.532
F2 0.250 0.193 0.968
F3 0.250 0.307 0.468
Fe3 0.750 0.476 0.343
O2 0.250 0.669 0.272
Fe4 0.250 0.976 0.157
O3 0.750 0.331 0.728
F4 0.750 0.807 0.032
O4 0.250 0.831 0.772

=====

Entry 6:
This record from the Materials Project describes a relaxed structure of Sr6Ca2Fe7CoO24. The functional is PBE with a Hubbard U.

Computed properties:
DFT total energy   -0.4640 Ry/atom
DFT formation energy   -210 kJ per mole of atoms
Total magnetization   32.2 μB/cell

Cell lengths 7.784, 7.784, 7.747 Å; angles 90.00, 90.00, 90.02 degrees
Atoms (fractional coordinates):
Fe1 0.000 0.500 0.999
O1 0.498 0.747 0.997
Sr1 0.250 0.250 0.252
Co1 0.500 0.500 0.501
Sr2 0.250 0.250 0.748
Fe2 0.000 0.000 0.999
O2 0.250 0.998 0.997
O3 0.747 0.498 0.997
Fe3 0.000 0.500 0.501
O4 0.000 0.500 0.250
O5 0.497 0.749 0.504
O6 0.502 0.253 0.997
Sr3 0.250 0.750 0.252
O7 0.751 0.002 0.503
O8 0.253 0.502 0.997
Sr4 0.750 0.250 0.252
O9 0.000 0.000 0.249
Ca1 0.750 0.250 0.748
O10 0.998 0.250 0.997
Fe4 0.500 0.500 0.998
Sr5 0.750 0.750 0.252
O11 0.249 0.998 0.503
Ca2 0.250 0.750 0.748
O12 0.000 0.000 0.751
O13 0.503 0.251 0.504
O14 0.500 0.500 0.737
O15 0.251 0.503 0.504
O16 0.749 0.497 0.504
O17 0.750 0.002 0.997
Sr6 0.750 0.750 0.748
O18 0.998 0.249 0.503
Fe5 0.500 0.000 0.999
Fe6 0.000 0.000 0.501
O19 0.000 0.500 0.750
O20 0.500 0.000 0.250
O21 0.500 0.500 0.263
Fe7 0.500 0.000 0.501
O22 0.002 0.751 0.503
O23 0.002 0.750 0.997
O24 0.500 0.000 0.750

=====

Entry 7:
This record from the Materials Project describes a relaxed structure of Li5V3Bi2P6O24. The functional is PBE with a Hubbard U.

Computed properties:
DFT total energy   -0.5058 Ry/atom
DFT formation energy   -244 kJ per mole of atoms
Total magnetization   8.0 μB/cell

Cell lengths 8.920, 8.921, 8.992 Å; angles 59.84, 60.86, 61.00 degrees
Atoms (fractional coordinates):
O1 0.254 0.755 0.418
O2 0.897 0.672 0.535
V1 0.056 0.646 0.651
Li1 0.683 0.847 0.153
O3 0.554 0.788 0.605
O4 0.262 0.919 0.089
O5 0.259 0.584 0.748
O6 0.431 0.972 0.215
Li2 0.455 0.191 0.187
O7 0.775 0.276 0.029
P1 0.742 0.745 0.463
O8 0.751 0.391 0.243
O9 0.956 0.896 0.673
P2 0.774 0.032 0.745
O10 0.767 0.919 0.286
V2 0.452 0.844 0.850
P3 0.255 0.253 0.546
O11 0.745 0.610 0.395
O12 0.778 0.028 0.921
O13 0.436 0.397 0.965
O14 0.083 0.097 0.298
P4 0.256 0.544 0.946
V3 0.948 0.349 0.347
Li3 0.686 0.312 0.845
O15 0.581 0.606 0.022
Li4 0.283 0.855 0.640
P5 0.758 0.456 0.040
O16 0.097 0.307 0.491
O17 0.755 0.239 0.613
O18 0.242 0.405 0.598
O19 0.089 0.504 0.097
Bi1 0.018 0.994 0.007
O20 0.609 0.996 0.778
P6 0.257 0.946 0.252
O21 0.247 0.075 0.724
O22 0.441 0.215 0.401
O23 0.245 0.739 0.918
O24 0.927 0.510 0.898
Bi2 0.499 0.483 0.498
Li5 0.696 0.150 0.320

=====

Entry 8:
This record from the Materials Project describes a relaxed structure of MgFe3Co2SbP6O24. The functional is PBE with a Hubbard U.

Computed properties:
Relative energy among the computed polymorphs   50 meV/atom
DFT total energy   -0.5018 Ry/atom
DFT formation energy   -215 kJ per mole of atoms
Total magnetization   20.2 μB/cell

Cell lengths 8.803, 8.711, 8.721 Å; angles 60.06, 60.77, 60.58 degrees
Atoms (fractional coordinates):
O1 0.805 0.255 0.042
O2 0.802 0.896 0.258
O3 0.244 0.086 0.741
O4 0.696 0.607 0.456
O5 0.804 0.043 0.897
O6 0.077 0.115 0.300
O7 0.260 0.570 0.757
O8 0.582 0.972 0.852
Sb1 0.620 0.126 0.126
O9 0.923 0.659 0.517
P1 0.246 0.253 0.554
Mg1 0.231 0.257 0.256
Co1 0.043 0.991 0.984
O10 0.245 0.743 0.928
Fe1 0.877 0.374 0.375
P2 0.748 0.746 0.467
P3 0.749 0.038 0.746
O11 0.584 0.593 0.972
Co2 0.479 0.508 0.509
O12 0.923 0.900 0.660
O13 0.581 0.851 0.595
O14 0.926 0.514 0.899
O15 0.412 0.206 0.380
O16 0.702 0.453 0.238
O17 0.077 0.508 0.115
O18 0.263 0.413 0.569
P4 0.244 0.556 0.948
Fe2 0.449 0.849 0.850
O19 0.242 0.928 0.087
O20 0.413 0.002 0.205
O21 0.412 0.379 0.002
P5 0.244 0.948 0.253
O22 0.077 0.302 0.505
Fe3 0.059 0.647 0.647
O23 0.261 0.756 0.414
P6 0.752 0.465 0.037
O24 0.698 0.240 0.608

=====

Entry 9:
This record from the Materials Project describes a relaxed structure of MgFe2O2F2. The functional is PBE with a Hubbard U.

Computed properties:
Relative energy among the computed polymorphs   175 meV/atom
DFT total energy   -0.4272 Ry/atom
DFT formation energy   -210 kJ per mole of atoms
Total magnetization   8.0 μB/cell

Cell lengths 5.567, 5.567, 3.209 Å; angles 90.00, 90.00, 110.61 degrees
Atoms (fractional coordinates):
Fe1 0.441 0.559 0.500
Fe2 0.049 0.951 0.000
F1 0.208 0.792 0.500
O1 0.315 0.288 0.000
F2 0.799 0.201 0.500
O2 0.712 0.685 0.000
Mg1 0.684 0.316 0.000

=====

Entry 10:
This record from the Materials Project describes a relaxed structure of Li3Mn4B4O12. The functional is PBE with a Hubbard U.

Computed properties:
Relative energy among the computed polymorphs   13 meV/atom
DFT total energy   -0.5436 Ry/atom
DFT formation energy   -237 kJ per mole of atoms
Total magnetization   19.0 μB/cell

Cell lengths 5.265, 5.891, 8.257 Å; angles 101.90, 90.91, 90.16 degrees
Atoms (fractional coordinates):
O1 0.681 0.986 0.817
O2 0.416 0.319 0.618
Mn1 0.178 0.162 0.409
Mn2 0.677 0.691 0.929
O3 0.922 0.818 0.116
Mn3 0.811 0.829 0.575
O4 0.819 0.153 0.518
Li1 0.340 0.042 0.721
Li2 0.155 0.461 0.771
O5 0.316 0.019 0.175
B1 0.176 0.832 0.088
O6 0.811 0.537 0.683
O7 0.205 0.836 0.517
O8 0.086 0.180 0.876
B2 0.830 0.172 0.904
O9 0.708 0.354 0.009
O10 0.583 0.650 0.391
Li3 0.839 0.562 0.225
Mn4 0.329 0.321 0.078
B3 0.674 0.337 0.602
B4 0.325 0.656 0.408
O11 0.297 0.654 0.976
O12 0.173 0.480 0.312